This record from the Materials Project describes a geometry-optimized Hg3SO6 structure. The functional is PBE-GGA.

Computed properties:
Energy (eV per cell): -127.530
Calculated volume (Å³ per atom): 15.7
ΔE_f (eV per atom): -1.19

```
data_Hg3SO6
_chemical_formula_sum 'Hg9 S3 O18'
_cell_length_a 7.1763
_cell_length_b 7.1763
_cell_length_c 10.5683
_cell_angle_alpha 90.00
_cell_angle_beta 90.00
_cell_angle_gamma 120.00
_symmetry_space_group_name_H-M 'P 31'
_symmetry_Int_Tables_number 144
_symmetry_space_group_name_Hall 'P 31'
loop_
_atom_site_label
_atom_site_type_symbol
_atom_site_fract_x
_atom_site_fract_y
_atom_site_fract_z
Hg1 Hg 0.0241 0.1683 0.0000
Hg2 Hg 0.0376 0.6705 0.9915
Hg3 Hg 0.5254 0.1710 0.9749
S1 S 0.1112 0.4313 0.6508
O1 O 0.0014 0.1859 0.2731
O2 O 0.0253 0.2578 0.7499
O3 O 0.1366 0.7181 0.2427
O4 O 0.1975 0.6444 0.7133
O5 O 0.4587 0.0685 0.2280
O6 O 0.4828 0.1427 0.7032
```



This record from the Materials Project describes a geometry-optimized Ba3SiO structure. The functional is PBE-GGA.

Computed properties:
ΔE to the lowest computed polymorph (eV/atom): 0.0000
Energy (eV per cell): -88.393
Calculated volume (Å³ per atom): 32.0
ΔE_f (eV per atom): -1.33

```
data_Ba3SiO
_chemical_formula_sum 'Ba12 Si4 O4'
_cell_length_a 7.822
_cell_length_b 10.864
_cell_length_c 7.537
_cell_angle_alpha 90.00
_cell_angle_beta 90.00
_cell_angle_gamma 90.00
_symmetry_space_group_name_H-M 'P n m a'
_symmetry_Int_Tables_number 62
_symmetry_space_group_name_Hall '-P 2ac 2n'
loop_
_atom_site_label
_atom_site_type_symbol
_atom_site_fract_x
_atom_site_fract_y
_atom_site_fract_z
Ba1 Ba 0.020 0.250 0.080
Ba2 Ba 0.201 0.042 0.704
Si1 Si 0.053 0.750 0.483
O1 O 0.000 0.000 0.000
```



This record from the Materials Project describes a geometry-optimized NdMgRh structure. The functional is PBE-GGA.

Computed properties:
Energy (eV per cell): -62.077
Calculated volume (Å³ per atom): 22.1
ΔE_f (eV per atom): -0.60

```
data_NdMgRh
_chemical_formula_sum 'Nd4 Mg4 Rh4'
_cell_length_a 7.264
_cell_length_b 4.189
_cell_length_c 8.705
_cell_angle_alpha 90.00
_cell_angle_beta 90.00
_cell_angle_gamma 90.00
_symmetry_space_group_name_H-M 'P n m a'
_symmetry_Int_Tables_number 62
_symmetry_space_group_name_Hall '-P 2ac 2n'
loop_
_atom_site_label
_atom_site_type_symbol
_atom_site_fract_x
_atom_site_fract_y
_atom_site_fract_z
Nd1 Nd 0.038 0.250 0.179
Mg1 Mg 0.135 0.250 0.558
Rh1 Rh 0.248 0.750 0.374
```



This record from the Materials Project describes a geometry-optimized Ce2Re3Si5 structure. The functional is PBE-GGA.

Computed properties:
Energy (eV per cell): -329.639
Calculated volume (Å³ per atom): 17.1
ΔE_f (eV per atom): -0.57

```
data_Ce2Re3Si5
_chemical_formula_sum 'Ce8 Re12 Si20'
_cell_length_a 11.015
_cell_length_b 11.015
_cell_length_c 5.633
_cell_angle_alpha 90.00
_cell_angle_beta 90.00
_cell_angle_gamma 90.00
_symmetry_space_group_name_H-M 'P 4/m n c'
_symmetry_Int_Tables_number 128
_symmetry_space_group_name_Hall '-P 4 2n'
loop_
_atom_site_label
_atom_site_type_symbol
_atom_site_fract_x
_atom_site_fract_y
_atom_site_fract_z
Ce1 Ce 0.075 0.237 0.000
Re1 Re 0.000 0.500 0.250
Re2 Re 0.124 0.856 0.500
Si1 Si 0.000 0.000 0.251
Si2 Si 0.025 0.316 0.500
Si3 Si 0.173 0.673 0.250
```



This record from the Materials Project describes a geometry-optimized SiPd structure. The functional is PBE-GGA.

Computed properties:
Energy (eV per cell): -91.339
Calculated volume (Å³ per atom): 20.0
ΔE_f (eV per atom): -0.41

```
data_SiPd
_chemical_formula_sum 'Si8 Pd8'
_cell_length_a 8.293
_cell_length_b 8.293
_cell_length_c 4.649
_cell_angle_alpha 90.00
_cell_angle_beta 90.00
_cell_angle_gamma 90.00
_symmetry_space_group_name_H-M 'I 4/m c m'
_symmetry_Int_Tables_number 140
_symmetry_space_group_name_Hall '-I 4 2c'
loop_
_atom_site_label
_atom_site_type_symbol
_atom_site_fract_x
_atom_site_fract_y
_atom_site_fract_z
Si1 Si 0.111 0.389 0.000
Pd1 Pd 0.178 0.322 0.500
```



This record from the Materials Project describes a geometry-optimized Li2NdTl structure. The functional is PBE-GGA.

Computed properties:
Energy (eV per cell): -47.972
Calculated volume (Å³ per atom): 21.5
ΔE_f (eV per atom): -0.26

```
data_Li2NdTl
_chemical_formula_sum 'Li8 Nd4 Tl4'
_cell_length_a 7.012
_cell_length_b 7.012
_cell_length_c 7.012
_cell_angle_alpha 90.00
_cell_angle_beta 90.00
_cell_angle_gamma 90.00
_symmetry_space_group_name_H-M 'F m -3 m'
_symmetry_Int_Tables_number 225
_symmetry_space_group_name_Hall '-F 4 2 3'
loop_
_atom_site_label
_atom_site_type_symbol
_atom_site_fract_x
_atom_site_fract_y
_atom_site_fract_z
Li1 Li 0.250 0.250 0.250
Nd1 Nd 0.000 0.000 0.000
Tl1 Tl 0.000 0.000 0.500
```



This record from the Materials Project describes a geometry-optimized HfBC structure. The functional is PBE-GGA.

Computed properties:
Energy (eV per cell): -53.379
Calculated volume (Å³ per atom): 9.4
ΔE_f (eV per atom): -0.27

```
data_HfBC
_chemical_formula_sum 'Hf2 B2 C2'
_cell_length_a 2.9454
_cell_length_b 2.9454
_cell_length_c 7.5310
_cell_angle_alpha 90.00
_cell_angle_beta 90.00
_cell_angle_gamma 120.00
_symmetry_space_group_name_H-M 'P 63/m m c'
_symmetry_Int_Tables_number 194
_symmetry_space_group_name_Hall '-P 6c 2c'
loop_
_atom_site_label
_atom_site_type_symbol
_atom_site_fract_x
_atom_site_fract_y
_atom_site_fract_z
Hf1 Hf 0.0000 0.0000 0.0000
B1 B 0.3333 0.6667 0.2500
C1 C 0.3333 0.6667 0.7500
```



This record from the Materials Project describes a geometry-optimized KNdNbInO6 structure. The functional is PBE-GGA.

Computed properties:
Energy (eV per cell): -285.073
Calculated volume (Å³ per atom): 14.0
ΔE_f (eV per atom): -2.70

```
data_KNdNbInO6
_chemical_formula_sum 'K4 Nd4 Nb4 In4 O24'
_cell_length_a 8.234
_cell_length_b 8.234
_cell_length_c 8.234
_cell_angle_alpha 90.00
_cell_angle_beta 90.00
_cell_angle_gamma 90.00
_symmetry_space_group_name_H-M 'F -4 3 m'
_symmetry_Int_Tables_number 216
_symmetry_space_group_name_Hall 'F -4 2 3'
loop_
_atom_site_label
_atom_site_type_symbol
_atom_site_fract_x
_atom_site_fract_y
_atom_site_fract_z
K1 K 0.000 0.000 0.000
Nd1 Nd 0.000 0.000 0.500
Nb1 Nb 0.250 0.250 0.250
In1 In 0.250 0.250 0.750
O1 O 0.008 0.250 0.250
```



This record from the Materials Project describes a geometry-optimized Ba3La2Cl12 structure. The functional is PBE-GGA.

Computed properties:
ΔE to the lowest computed polymorph (eV/atom): 0.0014
Energy (eV per cell): -317.477
Calculated volume (Å³ per atom): 33.8
ΔE_f (eV per atom): -2.88

```
data_Ba3La2Cl12
_chemical_formula_sum 'Ba12 La8 Cl48'
_cell_length_a 10.331
_cell_length_b 14.735
_cell_length_c 15.939
_cell_angle_alpha 90.00
_cell_angle_beta 108.71
_cell_angle_gamma 90.00
_symmetry_space_group_name_H-M 'C 1 2/c 1'
_symmetry_Int_Tables_number 15
_symmetry_space_group_name_Hall '-C 2yc'
loop_
_atom_site_label
_atom_site_type_symbol
_atom_site_fract_x
_atom_site_fract_y
_atom_site_fract_z
Ba1 Ba 0.000 0.130 0.250
Ba2 Ba 0.163 0.377 0.080
La1 La 0.174 0.125 0.590
Cl1 Cl 0.074 0.220 0.930
Cl2 Cl 0.078 0.018 0.427
Cl3 Cl 0.100 0.257 0.425
Cl4 Cl 0.102 0.490 0.417
Cl5 Cl 0.221 0.016 0.743
Cl6 Cl 0.248 0.254 0.260
```



This record from the Materials Project describes a geometry-optimized Ho2Ga3Fe14C2 structure. The functional is PBE-GGA.

Computed properties:
Energy (eV per cell): -316.919
Calculated volume (Å³ per atom): 12.8
ΔE_f (eV per atom): -0.15

```
data_Ho2Ga3Fe14C2
_chemical_formula_sum 'Ho4 Ga6 Fe28 C4'
_cell_length_a 9.715
_cell_length_b 8.557
_cell_length_c 6.527
_cell_angle_alpha 90.00
_cell_angle_beta 98.83
_cell_angle_gamma 90.00
_symmetry_space_group_name_H-M 'C 1 2/m 1'
_symmetry_Int_Tables_number 12
_symmetry_space_group_name_Hall '-C 2y'
loop_
_atom_site_label
_atom_site_type_symbol
_atom_site_fract_x
_atom_site_fract_y
_atom_site_fract_z
Ho1 Ho 0.152 0.000 0.339
Ga1 Ga 0.000 0.500 0.500
Ga2 Ga 0.250 0.250 0.000
Fe1 Fe 0.000 0.205 0.000
Fe2 Fe 0.091 0.500 0.904
Fe3 Fe 0.098 0.251 0.655
Fe4 Fe 0.143 0.356 0.287
Fe5 Fe 0.153 0.000 0.847
C1 C 0.250 0.250 0.500
```



This record from the Materials Project describes a geometry-optimized PaO3 structure. The functional is PBE-GGA.

Computed properties:
Energy (eV per cell): -69.303
Calculated volume (Å³ per atom): 10.5
ΔE_f (eV per atom): -3.09

```
data_PaO3
_chemical_formula_sum 'Pa2 O6'
_cell_length_a 3.679
_cell_length_b 3.679
_cell_length_c 6.185
_cell_angle_alpha 90.00
_cell_angle_beta 90.00
_cell_angle_gamma 90.00
_symmetry_space_group_name_H-M 'I 4/m m m'
_symmetry_Int_Tables_number 139
_symmetry_space_group_name_Hall '-I 4 2'
loop_
_atom_site_label
_atom_site_type_symbol
_atom_site_fract_x
_atom_site_fract_y
_atom_site_fract_z
Pa1 Pa 0.000 0.000 0.000
O1 O 0.000 0.000 0.500
O2 O 0.000 0.500 0.250
```



This record from the Materials Project describes a geometry-optimized Ho3Ni19B10 structure. The functional is PBE-GGA.

Computed properties:
Energy (eV per cell): -408.710
Calculated volume (Å³ per atom): 10.3
ΔE_f (eV per atom): -0.44

```
data_Ho3Ni19B10
_chemical_formula_sum 'Ho6 Ni38 B20'
_cell_length_a 13.155
_cell_length_b 8.692
_cell_length_c 5.758
_cell_angle_alpha 90.00
_cell_angle_beta 91.38
_cell_angle_gamma 90.00
_symmetry_space_group_name_H-M 'C 1 2/m 1'
_symmetry_Int_Tables_number 12
_symmetry_space_group_name_Hall '-C 2y'
loop_
_atom_site_label
_atom_site_type_symbol
_atom_site_fract_x
_atom_site_fract_y
_atom_site_fract_z
Ho1 Ho 0.000 0.000 0.000
Ho2 Ho 0.126 0.500 0.386
Ni1 Ni 0.000 0.000 0.500
Ni2 Ni 0.030 0.259 0.699
Ni3 Ni 0.122 0.500 0.873
Ni4 Ni 0.128 0.250 0.074
Ni5 Ni 0.162 0.000 0.704
Ni6 Ni 0.182 0.000 0.271
Ni7 Ni 0.219 0.264 0.698
B1 B 0.000 0.385 0.000
B2 B 0.118 0.183 0.431
B3 B 0.246 0.103 0.975
```